[1]
# TaWC2

A relaxed structure of TaWC2 (GGA-PBE, Materials Project).

Unit cell a=5.4149 b=5.4149 c=5.4149 alpha=33.75 beta=33.75 gamma=33.75
With the nearest neighbours (Å) after each atom.
Fractional coordinates of all 4 atoms:
C 0.2509 0.2509 0.2509  3 W 2.21, 3 Ta 2.23
C 0.7491 0.7491 0.7491  3 W 2.21, 3 Ta 2.23
Ta 0.5000 0.5000 0.5000  6 C 2.23
W 0.0000 0.0000 0.0000  6 C 2.21

For the formation energy, the calculation gives -0.138 eV per atom. Its total energy is -10.956 eV per atom.

[2]
# ZrTaC2

A relaxed structure of ZrTaC2 (GGA-PBE, Materials Project).

Unit cell a=5.6439 b=5.6439 c=5.6439 alpha=33.38 beta=33.38 gamma=33.38
With the nearest neighbours (Å) after each atom.
Fractional coordinates of all 4 atoms:
C 0.7550 0.7550 0.7550  3 Ta 2.25, 3 Zr 2.34
C 0.2450 0.2450 0.2450  3 Ta 2.25, 3 Zr 2.34
Zr 0.0000 0.0000 0.0000  6 C 2.34
Ta 0.5000 0.5000 0.5000  6 C 2.25

For the formation energy, the calculation gives -0.738 eV per atom. Its total energy is -10.454 eV per atom.

[3]
# TbC2

A relaxed structure of TbC2 (GGA-PBE, Materials Project).

Unit cell a=3.6920 b=4.0712 c=3.6920 alpha=63.04 beta=90.00 gamma=116.96
With the nearest neighbours (Å) after each atom.
Fractional coordinates of all 3 atoms:
C 0.3958 0.7915 0.6042  1 C 1.30
C 0.6042 0.2085 0.3958  1 C 1.30
Tb 0.0000 0.0000 0.0000  10 C 2.47-2.69

For the formation energy, the calculation gives -0.187 eV per atom. Its total energy is -7.885 eV per atom. The value obtained for the distance to the lowest polymorph of the same formula is 0.000 eV per atom.

[4]
# TbC2

A relaxed structure of TbC2 (GGA-PBE, Materials Project).

Unit cell a=3.9330 b=3.9330 c=3.9330 alpha=80.04 beta=74.25 gamma=123.76
With the nearest neighbours (Å) after each atom.
Fractional coordinates of all 3 atoms:
Tb 0.0000 0.5419 0.4581  8 C 2.53-2.62
C 0.8628 0.0401 0.0971  1 C 1.30
C 0.1372 0.0401 0.8227  1 C 1.30

For the formation energy, the calculation gives -0.109 eV per atom. Its total energy is -7.806 eV per atom. The value obtained for the distance to the lowest polymorph of the same formula is 0.078 eV per atom.

[5]
# Tb3TlC

A relaxed structure of Tb3TlC (GGA-PBE, Materials Project).

Unit cell a=5.6405 b=5.6405 c=5.6405 alpha=90.00 beta=90.00 gamma=90.00
With the nearest neighbours (Å) after each atom.
Fractional coordinates of all 5 atoms:
C 0.0000 0.0000 0.0000  12 Tb 3.99
Tl 0.5000 0.5000 0.5000  6 Tb 2.82
Tb 0.0000 0.5000 0.5000  2 Tl 2.82
Tb 0.5000 0.5000 0.0000  2 Tl 2.82
Tb 0.5000 0.0000 0.5000  2 Tl 2.82

For the formation energy, the calculation gives 1.613 eV per atom. Its total energy is -3.486 eV per atom.

[6]
# TbWC2

A relaxed structure of TbWC2 (GGA-PBE, Materials Project).

Unit cell a=3.4039 b=5.7493 c=10.8412 alpha=90.00 beta=90.00 gamma=90.00
With the nearest neighbours (Å) after each atom.
Fractional coordinates of all 16 atoms:
C 0.7500 0.3392 0.7472  2 W 2.04-2.14
C 0.2500 0.7205 0.9843  3 W 2.11-2.27
C 0.2500 0.2205 0.5157  3 W 2.11-2.27
C 0.2500 0.6608 0.2528  2 W 2.04-2.14
C 0.7500 0.7795 0.4843  3 W 2.11-2.27
C 0.7500 0.2795 0.0157  3 W 2.11-2.27
C 0.2500 0.1608 0.2472  2 W 2.04-2.14
C 0.7500 0.8392 0.7528  2 W 2.04-2.14
W 0.7500 0.0957 0.6104  5 C 2.04-2.27
W 0.2500 0.9043 0.3896  5 C 2.04-2.27
W 0.7500 0.5957 0.8896  5 C 2.04-2.27
W 0.2500 0.4043 0.1104  5 C 2.04-2.27
Tb 0.2500 0.0852 0.8629  7 C 2.48-2.62
Tb 0.7500 0.4148 0.3629  7 C 2.48-2.62
Tb 0.7500 0.9148 0.1371  7 C 2.48-2.62
Tb 0.2500 0.5852 0.6371  7 C 2.48-2.62

For the formation energy, the calculation gives -0.267 eV per atom. Its total energy is -9.280 eV per atom.

[7]
# Tc3C

A relaxed structure of Tc3C (GGA-PBE, Materials Project).

Unit cell a=5.3372 b=5.3372 c=4.0970 alpha=90.00 beta=90.00 gamma=120.00
With the nearest neighbours (Å) after each atom.
Fractional coordinates of all 8 atoms:
C 0.6667 0.3333 0.2500  12 Tc 2.52-2.67
C 0.3333 0.6667 0.7500  12 Tc 2.52-2.67
Tc 0.8256 0.1744 0.7500  4 C 2.52-2.67, 8 Tc 2.55-2.79
Tc 0.6513 0.8256 0.2500  4 C 2.52-2.67, 8 Tc 2.55-2.79
Tc 0.1744 0.3487 0.2500  4 C 2.52-2.67, 8 Tc 2.55-2.79
Tc 0.8256 0.6513 0.7500  4 C 2.52-2.67, 8 Tc 2.55-2.79
Tc 0.3487 0.1744 0.7500  4 C 2.52-2.67, 8 Tc 2.55-2.79
Tc 0.1744 0.8256 0.2500  4 C 2.52-2.67, 8 Tc 2.55-2.79

For the formation energy, the calculation gives 1.045 eV per atom. Its total energy is -9.032 eV per atom.

[8]
# TcC

A relaxed structure of TcC (GGA-PBE, Materials Project).

Unit cell a=3.2762 b=3.2762 c=3.2762 alpha=60.00 beta=60.00 gamma=60.00
With the nearest neighbours (Å) after each atom.
Fractional coordinates of all 2 atoms:
C 0.2500 0.2500 0.2500  4 Tc 2.01
Tc 0.0000 0.0000 0.0000  4 C 2.01

For the formation energy, the calculation gives 0.558 eV per atom. Its total energy is -9.237 eV per atom. The value obtained for the distance to the lowest polymorph of the same formula is 0.000 eV per atom.

[9]
# TcC

A relaxed structure of TcC (GGA-PBE, Materials Project).

Unit cell a=3.0688 b=3.0688 c=3.0688 alpha=60.00 beta=60.00 gamma=60.00
With the nearest neighbours (Å) after each atom.
Fractional coordinates of all 2 atoms:
C 0.5000 0.5000 0.5000  6 Tc 2.17
Tc 0.0000 0.0000 0.0000  6 C 2.17

For the formation energy, the calculation gives 0.651 eV per atom. Its total energy is -9.144 eV per atom. The value obtained for the distance to the lowest polymorph of the same formula is 0.093 eV per atom.

[10]
# TcW2C

A relaxed structure of TcW2C (GGA-PBE, Materials Project).

Unit cell a=2.9882 b=2.9882 c=13.8500 alpha=90.00 beta=90.00 gamma=120.00
With the nearest neighbours (Å) after each atom.
Fractional coordinates of all 8 atoms:
C 0.0000 0.0000 0.0076  3 Tc 2.08, 3 W 2.13
C 0.0000 0.0000 0.6603  6 W 2.12
W 0.3333 0.6667 0.9170  3 C 2.13
W 0.3333 0.6667 0.5710  3 C 2.12
W 0.6667 0.3333 0.7489  3 C 2.12
W 0.3333 0.6667 0.2586  6 Tc 2.73-2.88, 6 W 2.99
Tc 0.6667 0.3333 0.4116  6 W 2.73-2.80, 6 Tc 2.99
Tc 0.6667 0.3333 0.0918  3 C 2.08

For the formation energy, the calculation gives 0.168 eV per atom. Its total energy is -11.208 eV per atom.

[11]
# Ti2Te2C

A relaxed structure of Ti2Te2C (GGA-PBE, Materials Project).

Unit cell a=3.2708 b=3.2708 c=11.7893 alpha=90.00 beta=90.00 gamma=120.00
With the nearest neighbours (Å) after each atom.
Fractional coordinates of all 5 atoms:
Ti 0.3333 0.6667 0.5865  3 C 2.15
Ti 0.6667 0.3333 0.4135  3 C 2.15
C 0.0000 0.0000 0.5000  6 Ti 2.15
Te 0.3333 0.6667 0.8212  1 Ti 2.77
Te 0.6667 0.3333 0.1788  1 Ti 2.77

For the formation energy, the calculation gives -0.331 eV per atom. Its total energy is -6.592 eV per atom.

[12]
# ThC2

A relaxed structure of ThC2 (GGA-PBE, Materials Project).

Unit cell a=5.8048 b=5.8048 c=5.8048 alpha=90.00 beta=90.00 gamma=90.00
With the nearest neighbours (Å) after each atom.
Fractional coordinates of all 12 atoms:
Th 0.0000 0.0000 0.0000  6 C 2.57
Th 0.0000 0.5000 0.5000  6 C 2.57
Th 0.5000 0.0000 0.5000  6 C 2.57
Th 0.5000 0.5000 0.0000  6 C 2.57
C 0.4329 0.4329 0.4329  1 C 1.35
C 0.4329 0.0671 0.9329  1 C 1.35
C 0.5671 0.5671 0.5671  1 C 1.35
C 0.0671 0.5671 0.9329  1 C 1.35
C 0.0671 0.9329 0.4329  1 C 1.35
C 0.5671 0.9329 0.0671  1 C 1.35
C 0.9329 0.4329 0.0671  1 C 1.35
C 0.9329 0.0671 0.5671  1 C 1.35

For the formation energy, the calculation gives 0.138 eV per atom. Its total energy is -8.486 eV per atom.

[13]
# Th5C4

A relaxed structure of Th5C4 (GGA-PBE, Materials Project).

Unit cell a=15.5879 b=15.5879 c=15.5879 alpha=13.88 beta=13.88 gamma=13.88
With the nearest neighbours (Å) after each atom.
Fractional coordinates of all 9 atoms:
C 0.2012 0.2012 0.2012  6 Th 2.62-2.70
C 0.7988 0.7988 0.7988  6 Th 2.62-2.70
C 0.3961 0.3961 0.3961  6 Th 2.50-2.79
C 0.6039 0.6039 0.6039  6 Th 2.50-2.79
Th 0.1006 0.1006 0.1006  6 C 2.62-2.79
Th 0.8994 0.8994 0.8994  6 C 2.62-2.79
Th 0.2974 0.2974 0.2974  3 C 2.50
Th 0.7026 0.7026 0.7026  3 C 2.50
Th 0.5000 0.5000 0.5000  6 C 2.70

For the formation energy, the calculation gives -0.260 eV per atom. Its total energy is -8.480 eV per atom.

[14]
# Th4C3

A relaxed structure of Th4C3 (GGA-PBE, Materials Project).

Unit cell a=12.7062 b=12.7062 c=12.7062 alpha=16.97 beta=16.97 gamma=16.97
With the nearest neighbours (Å) after each atom.
Fractional coordinates of all 7 atoms:
C 0.0000 0.0000 0.0000  6 Th 2.64
C 0.7536 0.7536 0.7536  6 Th 2.49-2.79
C 0.2464 0.2464 0.2464  6 Th 2.49-2.79
Th 0.3736 0.3736 0.3736  6 C 2.64-2.79
Th 0.6264 0.6264 0.6264  6 C 2.64-2.79
Th 0.8801 0.8801 0.8801  3 C 2.49
Th 0.1199 0.1199 0.1199  3 C 2.49

For the formation energy, the calculation gives -0.266 eV per atom. Its total energy is -8.458 eV per atom.

[15]
# ThC2

A relaxed structure of ThC2 (GGA-PBE, Materials Project).

Unit cell a=3.9875 b=3.9875 c=6.7110 alpha=78.21 beta=78.21 gamma=65.10
With the nearest neighbours (Å) after each atom.
Fractional coordinates of all 6 atoms:
C 0.5676 0.8306 0.5526  1 C 1.33
C 0.8306 0.5676 0.0526  1 C 1.33
C 0.4324 0.1694 0.4474  1 C 1.33
C 0.1694 0.4324 0.9474  1 C 1.33
Th 0.2089 0.7911 0.2500  4 C 2.44-2.69
Th 0.7911 0.2089 0.7500  4 C 2.44-2.69

For the formation energy, the calculation gives -0.252 eV per atom. Its total energy is -8.875 eV per atom.

[16]
# ThC2

A relaxed structure of ThC2 (GGA-PBE, Materials Project).

Unit cell a=4.2961 b=4.2961 c=5.2240 alpha=90.00 beta=90.00 gamma=90.00
With the nearest neighbours (Å) after each atom.
Fractional coordinates of all 6 atoms:
Th 0.0000 0.5000 0.0000  8 C 2.61-2.69
Th 0.5000 0.0000 0.5000  8 C 2.61-2.69
C 0.0000 0.3460 0.5000  1 C 1.32
C 0.0000 0.6540 0.5000  1 C 1.32
C 0.3460 0.0000 0.0000  1 C 1.32
C 0.6540 0.0000 0.0000  1 C 1.32

For the formation energy, the calculation gives 0.071 eV per atom. Its total energy is -8.553 eV per atom.

[17]
# Ti3C2

A relaxed structure of Ti3C2 (GGA-PBE, Materials Project).

Unit cell a=3.0706 b=3.0706 c=15.1310 alpha=90.00 beta=90.00 gamma=120.00
With the nearest neighbours (Å) after each atom.
Fractional coordinates of all 10 atoms:
Ti 0.6667 0.3333 0.3432  3 C 2.07
Ti 0.0000 0.0000 0.0000  6 C 2.20
Ti 0.6667 0.3333 0.1568  3 C 2.07
Ti 0.3333 0.6667 0.6568  3 C 2.07
Ti 0.0000 0.0000 0.5000  6 C 2.20
Ti 0.3333 0.6667 0.8432  3 C 2.07
C 0.6667 0.3333 0.5859  6 Ti 2.07-2.20
C 0.3333 0.6667 0.4141  6 Ti 2.07-2.20
C 0.3333 0.6667 0.0859  6 Ti 2.07-2.20
C 0.6667 0.3333 0.9141  6 Ti 2.07-2.20

For the formation energy, the calculation gives -0.681 eV per atom. Its total energy is -9.110 eV per atom.

[18]
# Ti3C

A relaxed structure of Ti3C (GGA-PBE, Materials Project).

Unit cell a=3.7070 b=3.7070 c=3.7070 alpha=90.00 beta=90.00 gamma=90.00
With the nearest neighbours (Å) after each atom.
Fractional coordinates of all 4 atoms:
Ti 0.5000 0.5000 0.0000  8 Ti 2.62, 4 C 2.62
Ti 0.5000 0.0000 0.5000  8 Ti 2.62, 4 C 2.62
Ti 0.0000 0.5000 0.5000  8 Ti 2.62, 4 C 2.62
C 0.0000 0.0000 0.0000  12 Ti 2.62

For the formation energy, the calculation gives 0.374 eV per atom. Its total energy is -7.855 eV per atom.

[19]
# TiC3

A relaxed structure of TiC3 (GGA-PBE, Materials Project).

Unit cell a=2.6117 b=4.8586 c=4.0822 alpha=90.00 beta=90.00 gamma=105.59
With the nearest neighbours (Å) after each atom.
Fractional coordinates of all 4 atoms:
C 0.0000 0.5000 0.0000  2 C 1.31
C 0.0000 0.0000 0.5000  2 Ti 2.04
C 0.5000 0.5000 0.0000  2 C 1.31
Ti 0.0000 0.0000 0.0000  2 C 2.04

For the formation energy, the calculation gives 1.371 eV per atom. Its total energy is -7.524 eV per atom.

[20]
# Ti8C5

A relaxed structure of Ti8C5 (GGA-PBE, Materials Project).

Unit cell a=19.5148 b=19.5148 c=19.5148 alpha=9.10 beta=9.10 gamma=9.10
With the nearest neighbours (Å) after each atom.
Fractional coordinates of all 13 atoms:
C 0.6232 0.6232 0.6232  6 Ti 2.07-2.23
C 0.3768 0.3768 0.3768  6 Ti 2.07-2.23
C 0.0000 0.0000 0.0000  6 Ti 2.15
C 0.1250 0.1250 0.1250  6 Ti 2.12
C 0.8750 0.8750 0.8750  6 Ti 2.12
Ti 0.6871 0.6871 0.6871  6 C 2.15-2.23
Ti 0.4389 0.4389 0.4389  3 C 2.12
Ti 0.8113 0.8113 0.8113  3 C 2.12
Ti 0.9385 0.9385 0.9385  3 C 2.07
Ti 0.3129 0.3129 0.3129  6 C 2.15-2.23
Ti 0.5611 0.5611 0.5611  3 C 2.12
Ti 0.0615 0.0615 0.0615  3 C 2.07
Ti 0.1887 0.1887 0.1887  3 C 2.12

For the formation energy, the calculation gives -0.690 eV per atom. Its total energy is -9.099 eV per atom. The value obtained for the distance to the lowest polymorph of the same formula is 0.028 eV per atom.